VASP calculation (PBE) on crystalline Sm4Co3B6 at its relaxed geometry.

It has space group R-3m (No. 166, hexagonal axes), with a = 5.3157 Å, b = 5.3157 Å, c = 22.4545 Å, α = 90.00°, β = 90.00° and γ = 120.00°. The distinct sites, in fractional coordinates, are Sm at (0.0000, 0.0000, 0.0895), Sm at (0.0000, 0.0000, 0.2440), Co at (0.0000, 0.0000, 0.3863), Co at (0.0000, 0.0000, 0.5000) and B at (0.0000, 0.3325, 0.0000).

Its formation energy from the elements is -0.332 eV/atom. The value obtained for the calculated volume is 549 Å³/cell. For the uncorrected energy, the calculation gives -253.768 eV for the cell shown. The crystal system is trigonal. The calculation puts the density at 7.64 Mg/m³. The calculation puts the total magnetization at 2.195 μB per formula unit.

VASP calculation (PBE) on crystalline Co21Sn2B6 at its relaxed geometry.

It has space group Fm-3m (No. 225), with a = 10.5738 Å, b = 10.5738 Å, c = 10.5738 Å, α = 90.00°, β = 90.00° and γ = 90.00°. The distinct sites, in fractional coordinates, are Co at (0.0000, 0.0000, 0.0000), Co at (0.0000, 0.1674, 0.1674), Co at (0.1147, 0.1147, 0.3853), Sn at (0.2500, 0.2500, 0.2500) and B at (0.0000, 0.0000, 0.2760).

Its formation energy from the elements is -0.178 eV/atom. The value obtained for the calculated volume is 1182 Å³/cell. For the uncorrected energy, the calculation gives -810.142 eV for the cell shown. The crystal system is cubic. The calculation puts the density at 8.65 Mg/m³. The calculation puts the total magnetization at 20.047 μB per formula unit.

VASP calculation (PBE) on crystalline Tb4CoB13 at its relaxed geometry.

It has space group P4/mnc (No. 128), with a = 7.3384 Å, b = 7.3384 Å, c = 6.9449 Å, α = 90.00°, β = 90.00° and γ = 90.00°. The distinct sites, in fractional coordinates, are Tb at (0.1813, 0.3156, 0.0000), Co at (0.0000, 0.0000, 0.5000), B at (0.0000, 0.0000, 0.0000), B at (0.0394, 0.8307, 0.2460) and B at (0.0913, 0.5913, 0.2500).

Its formation energy from the elements is -0.455 eV/atom. The value obtained for the calculated volume is 374 Å³/cell. For the uncorrected energy, the calculation gives -241.331 eV for the cell shown. The crystal system is tetragonal. The calculation puts the density at 7.42 Mg/m³. The calculation puts the total magnetization at 0.008 μB per formula unit.

The highest total magnetization belongs to which entry?
Co21Sn2B6